1.
Below is a geometry-optimized Cu3SbS3 structure, with properties calculated at the PBE level.

Output
ΔH_f (0 K): -0.4018 eV/atom
uncorrected energy: -4.31 eV/atom
SG: P2_1/c
energy relative to the lowest polymorph listed for this composition: 0.05 eV per formula unit
total magnetic moment: 0.000 μB/atom

CIF file:
```
data_Cu3SbS3
_chemical_formula_sum 'Cu24 Sb8 S24'
_cell_length_a 10.269
_cell_length_b 7.844
_cell_length_c 13.405
_cell_angle_alpha 89.73
_cell_angle_beta 90.00
_cell_angle_gamma 90.00
_symmetry_space_group_name_H-M 'P 1'
_symmetry_Int_Tables_number 1
_symmetry_space_group_name_Hall 'P 1'
loop_
_atom_site_label
_atom_site_fract_x
_atom_site_fract_y
_atom_site_fract_z
_atom_site_occupancy
S1 0.430 0.826 0.913 1
S2 0.245 0.949 0.673 1
S3 0.250 0.446 0.074 1
S4 0.933 0.671 0.664 1
S5 0.570 0.174 0.087 1
S6 0.750 0.554 0.426 1
S7 0.567 0.671 0.164 1
S8 0.430 0.317 0.341 1
S9 0.930 0.683 0.159 1
S10 0.433 0.329 0.836 1
S11 0.566 0.182 0.588 1
S12 0.250 0.446 0.574 1
S13 0.745 0.051 0.827 1
S14 0.255 0.949 0.173 1
S15 0.434 0.818 0.412 1
S16 0.934 0.182 0.088 1
S17 0.066 0.818 0.912 1
S18 0.570 0.683 0.659 1
S19 0.750 0.554 0.926 1
S20 0.067 0.329 0.336 1
S21 0.070 0.826 0.413 1
S22 0.755 0.051 0.327 1
S23 0.070 0.317 0.841 1
S24 0.930 0.174 0.587 1
Cu1 0.402 0.157 0.202 1
Cu2 0.896 0.693 0.830 1
Cu3 0.601 0.349 0.452 1
Cu4 0.402 0.805 0.081 1
Cu5 0.104 0.307 0.170 1
Cu6 0.529 0.566 0.899 1
Cu7 0.098 0.805 0.581 1
Cu8 0.598 0.843 0.798 1
Cu9 0.604 0.693 0.330 1
Cu10 0.039 0.939 0.135 1
Cu11 0.539 0.061 0.365 1
Cu12 0.902 0.195 0.419 1
Cu13 0.899 0.349 0.952 1
Cu14 0.098 0.157 0.702 1
Cu15 0.029 0.434 0.601 1
Cu16 0.399 0.651 0.548 1
Cu17 0.396 0.307 0.670 1
Cu18 0.961 0.061 0.865 1
Cu19 0.971 0.566 0.399 1
Cu20 0.471 0.434 0.101 1
Cu21 0.902 0.843 0.298 1
Cu22 0.101 0.651 0.048 1
Cu23 0.598 0.195 0.919 1
Cu24 0.461 0.939 0.635 1
Sb1 0.745 0.787 0.055 1
Sb2 0.747 0.283 0.696 1
Sb3 0.247 0.717 0.804 1
Sb4 0.255 0.213 0.945 1
Sb5 0.245 0.213 0.445 1
Sb6 0.253 0.717 0.304 1
Sb7 0.755 0.787 0.555 1
Sb8 0.753 0.283 0.196 1
```

***

2.
Below is a geometry-optimized CdGeN2 structure, with properties calculated at the PBE level.

Output
ΔH_f (0 K): -0.1328 eV/atom
uncorrected energy: -5.51 eV/atom
SG: I-42d

CIF file:
```
data_CdGeN2
_chemical_formula_sum 'Cd2 Ge2 N4'
_cell_length_a 5.620
_cell_length_b 4.962
_cell_length_c 8.780
_cell_angle_alpha 90.00
_cell_angle_beta 141.36
_cell_angle_gamma 116.20
_symmetry_space_group_name_H-M 'P 1'
_symmetry_Int_Tables_number 1
_symmetry_space_group_name_Hall 'P 1'
loop_
_atom_site_label
_atom_site_fract_x
_atom_site_fract_y
_atom_site_fract_z
_atom_site_occupancy
Cd1 0.000 0.000 0.500 1
Cd2 0.000 0.500 0.750 1
N1 0.637 0.569 0.944 1
N2 0.500 0.069 0.125 1
N3 0.363 0.431 0.306 1
N4 0.500 0.931 0.625 1
Ge1 0.000 0.500 0.250 1
Ge2 0.000 0.000 0.000 1
```

***

3.
Below is a geometry-optimized Li2Pd structure, with properties calculated at the PBE level.

Output
ΔH_f (0 K): -0.3843 eV/atom
uncorrected energy: -3.38 eV/atom
SG: P6/mmm

CIF file:
```
data_Li2Pd
_chemical_formula_sum 'Li2 Pd1'
_cell_length_a 2.738
_cell_length_b 4.234
_cell_length_c 4.234
_cell_angle_alpha 120.00
_cell_angle_beta 90.00
_cell_angle_gamma 90.00
_symmetry_space_group_name_H-M 'P 1'
_symmetry_Int_Tables_number 1
_symmetry_space_group_name_Hall 'P 1'
loop_
_atom_site_label
_atom_site_fract_x
_atom_site_fract_y
_atom_site_fract_z
_atom_site_occupancy
Pd1 0.000 0.000 0.000 1
Li1 0.500 0.333 0.667 1
Li2 0.500 0.667 0.333 1
```

***

4.
Below is a geometry-optimized CeCo4B structure, with properties calculated at the PBE level.

Output
ΔH_f (0 K): -0.2911 eV/atom
uncorrected energy: -7.13 eV/atom
SG: P6/mmm
total magnetic moment: 0.002 μB/atom

CIF file:
```
data_CeCo4B
_chemical_formula_sum 'Ce2 Co8 B2'
_cell_length_a 4.996
_cell_length_b 4.996
_cell_length_c 6.902
_cell_angle_alpha 90.00
_cell_angle_beta 90.00
_cell_angle_gamma 120.00
_symmetry_space_group_name_H-M 'P 1'
_symmetry_Int_Tables_number 1
_symmetry_space_group_name_Hall 'P 1'
loop_
_atom_site_label
_atom_site_fract_x
_atom_site_fract_y
_atom_site_fract_z
_atom_site_occupancy
Co1 0.500 0.000 0.710 1
Co2 0.333 0.667 0.000 1
Co3 0.500 0.500 0.290 1
Co4 0.667 0.333 0.000 1
Co5 0.000 0.500 0.290 1
Co6 0.000 0.500 0.710 1
Co7 0.500 0.000 0.290 1
Co8 0.500 0.500 0.710 1
Ce1 0.000 0.000 0.500 1
Ce2 0.000 0.000 0.000 1
B1 0.667 0.333 0.500 1
B2 0.333 0.667 0.500 1
```

***

5.
Below is a geometry-optimized ZrS2O13 structure, with properties calculated at the PBE level.

Output
ΔH_f (0 K): -0.8217 eV/atom
uncorrected energy: -5.89 eV/atom
SG: P-1
energy relative to the lowest polymorph listed for this composition: 5.16 eV per formula unit
total magnetic moment: 0.176 μB/atom

CIF file:
```
data_ZrS2O13
_chemical_formula_sum 'Zr2 S4 O26'
_cell_length_a 7.866
_cell_length_b 8.035
_cell_length_c 8.942
_cell_angle_alpha 100.19
_cell_angle_beta 88.49
_cell_angle_gamma 100.73
_symmetry_space_group_name_H-M 'P 1'
_symmetry_Int_Tables_number 1
_symmetry_space_group_name_Hall 'P 1'
loop_
_atom_site_label
_atom_site_fract_x
_atom_site_fract_y
_atom_site_fract_z
_atom_site_occupancy
O1 0.464 0.041 0.273 1
O2 0.313 0.167 0.092 1
O3 0.172 0.889 0.549 1
O4 0.003 0.533 0.243 1
O5 0.843 0.590 0.039 1
O6 0.765 0.688 0.302 1
O7 0.026 0.830 0.202 1
O8 0.449 0.346 0.308 1
O9 0.828 0.111 0.451 1
O10 0.157 0.410 0.961 1
O11 0.009 0.796 0.731 1
O12 0.687 0.833 0.908 1
O13 0.991 0.204 0.269 1
O14 0.585 0.388 0.821 1
O15 0.369 0.785 0.893 1
O16 0.415 0.612 0.179 1
O17 0.631 0.215 0.107 1
O18 0.974 0.170 0.798 1
O19 0.551 0.654 0.692 1
O20 0.735 0.420 0.602 1
O21 0.997 0.467 0.757 1
O22 0.971 0.189 0.414 1
O23 0.536 0.959 0.727 1
O24 0.265 0.580 0.398 1
O25 0.235 0.312 0.698 1
O26 0.029 0.811 0.586 1
S1 0.529 0.815 0.807 1
S2 0.908 0.665 0.198 1
S3 0.471 0.185 0.193 1
S4 0.092 0.335 0.802 1
Zr1 0.227 0.408 0.189 1
Zr2 0.773 0.592 0.811 1
```

***

6.
Below is a geometry-optimized NbCl5 structure, with properties calculated at the PBE level.

Output
ΔH_f (0 K): -1.7429 eV/atom
uncorrected energy: -4.46 eV/atom
SG: C2/m

CIF file:
```
data_NbCl5
_chemical_formula_sum 'Nb6 Cl30'
_cell_length_a 13.678
_cell_length_b 13.678
_cell_length_c 6.413
_cell_angle_alpha 89.41
_cell_angle_beta 89.41
_cell_angle_gamma 85.95
_symmetry_space_group_name_H-M 'P 1'
_symmetry_Int_Tables_number 1
_symmetry_space_group_name_Hall 'P 1'
loop_
_atom_site_label
_atom_site_fract_x
_atom_site_fract_y
_atom_site_fract_z
_atom_site_occupancy
Cl1 0.202 0.570 0.699 1
Cl2 0.143 0.336 0.692 1
Cl3 0.763 0.132 0.227 1
Cl4 0.430 0.798 0.301 1
Cl5 0.190 0.997 0.210 1
Cl6 0.798 0.430 0.301 1
Cl7 0.336 0.143 0.692 1
Cl8 0.237 0.868 0.773 1
Cl9 0.952 0.952 0.205 1
Cl10 0.857 0.664 0.308 1
Cl11 0.465 0.096 0.251 1
Cl12 0.714 0.714 0.726 1
Cl13 0.997 0.190 0.210 1
Cl14 0.132 0.763 0.227 1
Cl15 0.331 0.524 0.258 1
Cl16 0.096 0.465 0.251 1
Cl17 0.619 0.619 0.324 1
Cl18 0.048 0.048 0.795 1
Cl19 0.664 0.857 0.308 1
Cl20 0.868 0.237 0.773 1
Cl21 0.570 0.202 0.699 1
Cl22 0.904 0.535 0.749 1
Cl23 0.381 0.381 0.676 1
Cl24 0.286 0.286 0.274 1
Cl25 0.524 0.331 0.258 1
Cl26 0.003 0.810 0.790 1
Cl27 0.476 0.669 0.742 1
Cl28 0.535 0.904 0.749 1
Cl29 0.810 0.003 0.790 1
Cl30 0.669 0.476 0.742 1
Nb1 0.441 0.225 0.475 1
Nb2 0.225 0.441 0.475 1
Nb3 0.108 0.892 0.000 1
Nb4 0.559 0.775 0.525 1
Nb5 0.892 0.108 0.000 1
Nb6 0.775 0.559 0.525 1
```

***

7.
Below is a geometry-optimized He structure, with properties calculated at the PBE level.

Output
ΔH_f (0 K): 0.0038 eV/atom
uncorrected energy: -0.01 eV/atom
SG: P6/mmm
energy relative to the lowest polymorph listed for this composition: 0.00 eV per formula unit

CIF file:
```
data_He
_chemical_formula_sum 'He1'
_cell_length_a 2.715
_cell_length_b 2.715
_cell_length_c 2.471
_cell_angle_alpha 90.00
_cell_angle_beta 90.00
_cell_angle_gamma 120.00
_symmetry_space_group_name_H-M 'P 1'
_symmetry_Int_Tables_number 1
_symmetry_space_group_name_Hall 'P 1'
loop_
_atom_site_label
_atom_site_fract_x
_atom_site_fract_y
_atom_site_fract_z
_atom_site_occupancy
He1 0.000 0.000 0.000 1
```

***

8.
Below is a geometry-optimized Na3NbSi3GeO12 structure, with properties calculated at the PBE level.

Output
ΔH_f (0 K): -2.7743 eV/atom
uncorrected energy: -7.08 eV/atom
SG: Cc
total magnetic moment: 0.000 μB/atom

CIF file:
```
data_Na3NbSi3GeO12
_chemical_formula_sum 'Na18 Nb6 Si18 Ge6 O72'
_cell_length_a 8.916
_cell_length_b 8.888
_cell_length_c 22.088
_cell_angle_alpha 90.00
_cell_angle_beta 90.16
_cell_angle_gamma 119.89
_symmetry_space_group_name_H-M 'P 1'
_symmetry_Int_Tables_number 1
_symmetry_space_group_name_Hall 'P 1'
loop_
_atom_site_label
_atom_site_fract_x
_atom_site_fract_y
_atom_site_fract_z
_atom_site_occupancy
O1 0.481 0.297 0.744 1
O2 0.621 0.487 0.642 1
O3 0.860 0.495 0.422 1
O4 0.303 0.474 0.755 1
O5 0.156 0.972 0.912 1
O6 0.621 0.134 0.142 1
O7 0.822 0.311 0.244 1
O8 0.978 0.170 0.589 1
O9 0.155 0.511 0.577 1
O10 0.965 0.168 0.313 1
O11 0.831 0.814 0.588 1
O12 0.164 0.475 0.255 1
O13 0.965 0.798 0.813 1
O14 0.978 0.808 0.089 1
O15 0.496 0.635 0.861 1
O16 0.031 0.194 0.194 1
O17 0.368 0.851 0.577 1
O18 0.696 0.530 0.526 1
O19 0.361 0.866 0.857 1
O20 0.368 0.517 0.077 1
O21 0.489 0.637 0.578 1
O22 0.155 0.644 0.077 1
O23 0.834 0.301 0.525 1
O24 0.303 0.829 0.255 1
O25 0.497 0.349 0.421 1
O26 0.496 0.861 0.361 1
O27 0.031 0.838 0.694 1
O28 0.867 0.368 0.645 1
O29 0.156 0.184 0.412 1
O30 0.822 0.511 0.744 1
O31 0.489 0.851 0.078 1
O32 0.169 0.967 0.191 1
O33 0.834 0.533 0.025 1
O34 0.822 0.845 0.911 1
O35 0.293 0.465 0.477 1
O36 0.799 0.971 0.690 1
O37 0.169 0.202 0.691 1
O38 0.178 0.713 0.475 1
O39 0.206 0.044 0.311 1
O40 0.293 0.828 0.977 1
O41 0.643 0.141 0.423 1
O42 0.361 0.495 0.357 1
O43 0.466 0.301 0.025 1
O44 0.466 0.165 0.525 1
O45 0.536 0.704 0.980 1
O46 0.130 0.497 0.857 1
O47 0.164 0.689 0.755 1
O48 0.481 0.185 0.244 1
O49 0.519 0.836 0.755 1
O50 0.193 0.031 0.588 1
O51 0.847 0.045 0.808 1
O52 0.643 0.502 0.923 1
O53 0.519 0.684 0.255 1
O54 0.193 0.162 0.088 1
O55 0.867 0.500 0.145 1
O56 0.694 0.177 0.745 1
O57 0.497 0.148 0.921 1
O58 0.536 0.833 0.480 1
O59 0.130 0.633 0.357 1
O60 0.178 0.466 0.975 1
O61 0.504 0.127 0.644 1
O62 0.696 0.166 0.026 1
O63 0.860 0.365 0.922 1
O64 0.694 0.517 0.245 1
O65 0.036 0.185 0.910 1
O66 0.847 0.802 0.308 1
O67 0.822 0.977 0.411 1
O68 0.504 0.377 0.144 1
O69 0.206 0.162 0.811 1
O70 0.036 0.851 0.410 1
O71 0.831 0.017 0.088 1
O72 0.799 0.828 0.190 1
Si1 0.716 0.711 0.251 1
Si2 0.661 0.618 0.585 1
Si3 0.381 0.341 0.084 1
Si4 0.716 0.004 0.751 1
Si5 0.294 0.285 0.751 1
Si6 0.960 0.347 0.585 1
Si7 0.381 0.040 0.584 1
Si8 0.661 0.043 0.085 1
Si9 0.628 0.681 0.920 1
Si10 0.048 0.374 0.917 1
Si11 0.987 0.706 0.752 1
Si12 0.987 0.281 0.252 1
Si13 0.328 0.377 0.418 1
Si14 0.048 0.675 0.417 1
Si15 0.628 0.947 0.420 1
Si16 0.294 0.009 0.251 1
Si17 0.328 0.951 0.918 1
Si18 0.960 0.613 0.085 1
Na1 0.332 0.665 0.163 1
Na2 0.666 0.334 0.830 1
Na3 0.332 0.667 0.663 1
Na4 0.993 0.010 0.996 1
Na5 0.301 0.962 0.082 1
Na6 0.993 0.983 0.496 1
Na7 0.368 0.368 0.249 1
Na8 0.968 0.673 0.915 1
Na9 0.665 0.966 0.582 1
Na10 0.968 0.295 0.415 1
Na11 0.994 0.364 0.748 1
Na12 0.666 0.332 0.330 1
Na13 0.332 0.299 0.915 1
Na14 0.332 0.033 0.415 1
Na15 0.301 0.339 0.582 1
Na16 0.368 0.001 0.749 1
Na17 0.665 0.699 0.082 1
Na18 0.994 0.630 0.248 1
Ge1 0.997 0.000 0.854 1
Ge2 0.330 0.661 0.020 1
Ge3 0.997 0.997 0.354 1
Ge4 0.666 0.331 0.187 1
Ge5 0.330 0.669 0.520 1
Ge6 0.666 0.336 0.687 1
Nb1 0.668 0.328 0.978 1
Nb2 0.337 0.666 0.811 1
Nb3 0.000 0.997 0.644 1
Nb4 0.668 0.340 0.478 1
Nb5 0.337 0.671 0.311 1
Nb6 0.000 0.003 0.144 1
```

***

9.
Below is a geometry-optimized CdTe structure, with properties calculated at the PBE level.

Output
ΔH_f (0 K): -0.4853 eV/atom
uncorrected energy: -2.31 eV/atom
SG: Cmcm
total magnetic moment: 0.000 μB/atom

CIF file:
```
data_CdTe
_chemical_formula_sum 'Cd2 Te2'
_cell_length_a 4.607
_cell_length_b 4.607
_cell_length_c 5.777
_cell_angle_alpha 90.00
_cell_angle_beta 90.00
_cell_angle_gamma 99.61
_symmetry_space_group_name_H-M 'P 1'
_symmetry_Int_Tables_number 1
_symmetry_space_group_name_Hall 'P 1'
loop_
_atom_site_label
_atom_site_fract_x
_atom_site_fract_y
_atom_site_fract_z
_atom_site_occupancy
Te1 0.223 0.777 0.250 1
Te2 0.777 0.223 0.750 1
Cd1 0.642 0.358 0.250 1
Cd2 0.358 0.642 0.750 1
```

***

10.
Below is a geometry-optimized Te2MoWS2 structure, with properties calculated at the PBE level.

Output
ΔH_f (0 K): -0.6335 eV/atom
uncorrected energy: -6.86 eV/atom
SG: P3m1
energy relative to the lowest polymorph listed for this composition: 0.00 eV per formula unit
total magnetic moment: 0.000 μB/atom

CIF file:
```
data_Te2MoWS2
_chemical_formula_sum 'Te4 Mo2 W2 S4'
_cell_length_a 3.352
_cell_length_b 3.352
_cell_length_c 39.917
_cell_angle_alpha 90.00
_cell_angle_beta 90.00
_cell_angle_gamma 120.00
_symmetry_space_group_name_H-M 'P 1'
_symmetry_Int_Tables_number 1
_symmetry_space_group_name_Hall 'P 1'
loop_
_atom_site_label
_atom_site_fract_x
_atom_site_fract_y
_atom_site_fract_z
_atom_site_occupancy
S1 0.000 0.000 0.696 1
S2 0.000 0.000 0.619 1
S3 0.333 0.667 0.508 1
S4 0.333 0.667 0.432 1
W1 0.333 0.667 0.658 1
W2 0.000 0.000 0.470 1
Mo1 0.333 0.667 0.283 1
Mo2 0.000 0.000 0.092 1
Te1 0.000 0.000 0.331 1
Te2 0.000 0.000 0.236 1
Te3 0.333 0.667 0.045 1
Te4 0.333 0.667 0.140 1
```

***

11.
Below is a geometry-optimized TbRh structure, with properties calculated at the PBE level.

Output
ΔH_f (0 K): -0.8526 eV/atom
uncorrected energy: -6.85 eV/atom
SG: Pm-3m

CIF file:
```
data_TbRh
_chemical_formula_sum 'Tb1 Rh1'
_cell_length_a 3.446
_cell_length_b 3.446
_cell_length_c 3.446
_cell_angle_alpha 90.00
_cell_angle_beta 90.00
_cell_angle_gamma 90.00
_symmetry_space_group_name_H-M 'P 1'
_symmetry_Int_Tables_number 1
_symmetry_space_group_name_Hall 'P 1'
loop_
_atom_site_label
_atom_site_fract_x
_atom_site_fract_y
_atom_site_fract_z
_atom_site_occupancy
Tb1 0.500 0.500 0.500 1
Rh1 0.000 0.000 0.000 1
```